(1)
Computed, not measured: a relaxed structure of Ba2B4Se13 at the PBE level of DFT.

Cell: 11.9711 12.9693 13.1945 Å, 76.23 90.00 90.00°
Last column: nearest neighbours and their distance in Å.
Fractional positions:
Ba: 0.0880 0.6366 0.6094  9 Se 3.39-3.67, 1 B 3.69
Ba: 0.5880 0.3634 0.8906  9 Se 3.39-3.67, 1 B 3.69
Ba: 0.9120 0.3634 0.3906  9 Se 3.39-3.67, 1 B 3.69
Ba: 0.4120 0.6366 0.1094  9 Se 3.39-3.67, 1 B 3.69
Ba: 0.0985 0.1035 0.7850  8 Se 3.40-3.60, 1 B 3.71
Ba: 0.5985 0.8965 0.7150  8 Se 3.40-3.60, 1 B 3.71
Ba: 0.9015 0.8965 0.2150  8 Se 3.40-3.60, 1 B 3.71
Ba: 0.4015 0.1035 0.2850  8 Se 3.40-3.60, 1 B 3.71
B: 0.2238 0.9709 0.5918  4 Se 2.07-2.08
B: 0.7238 0.0291 0.9082  4 Se 2.07-2.08
B: 0.7762 0.0291 0.4082  4 Se 2.07-2.08
B: 0.2762 0.9709 0.0918  4 Se 2.07-2.08
B: 0.2279 0.7636 0.7972  4 Se 2.07-2.09
B: 0.7279 0.2364 0.7028  4 Se 2.07-2.09
B: 0.7721 0.2364 0.2028  4 Se 2.07-2.09
B: 0.2721 0.7636 0.2972  4 Se 2.07-2.09
B: 0.2254 0.5161 0.9020  4 Se 2.05-2.06
B: 0.7254 0.4839 0.5980  4 Se 2.05-2.06
B: 0.7746 0.4839 0.0980  4 Se 2.05-2.06
B: 0.2746 0.5161 0.4020  4 Se 2.05-2.06
B: 0.2794 0.2175 0.9837  4 Se 2.04-2.07
B: 0.7794 0.7825 0.5163  4 Se 2.04-2.07
B: 0.7206 0.7825 0.0163  4 Se 2.04-2.07
B: 0.2206 0.2175 0.4837  4 Se 2.04-2.07
Se: 0.3467 0.0380 0.6675  1 B 2.08
Se: 0.8467 0.9620 0.8325  1 B 2.08
Se: 0.6533 0.9620 0.3325  1 B 2.08
Se: 0.1533 0.0380 0.1675  1 B 2.08
Se: 0.3168 0.8986 0.4964  1 B 2.07
Se: 0.8168 0.1014 0.0036  1 B 2.07
Se: 0.6832 0.1014 0.5036  1 B 2.07
Se: 0.1832 0.8986 0.9964  1 B 2.07
Se: 0.1227 0.8683 0.6977  2 B 2.07-2.08
Se: 0.6227 0.1317 0.8023  2 B 2.07-2.08
Se: 0.8773 0.1317 0.3023  2 B 2.07-2.08
Se: 0.3773 0.8683 0.1977  2 B 2.07-2.08
Se: 0.3231 0.8344 0.8931  1 B 2.07
Se: 0.8231 0.1656 0.6069  1 B 2.07
Se: 0.6769 0.1656 0.1069  1 B 2.07
Se: 0.1769 0.8344 0.3931  1 B 2.07
Se: 0.3533 0.7050 0.7160  1 B 2.09
Se: 0.8533 0.2950 0.7840  1 B 2.09
Se: 0.6467 0.2950 0.2840  1 B 2.09
Se: 0.1467 0.7050 0.2160  1 B 2.09
Se: 0.1191 0.6451 0.8721  2 B 2.06-2.08
Se: 0.6191 0.3549 0.6279  2 B 2.06-2.08
Se: 0.8809 0.3549 0.1279  2 B 2.06-2.08
Se: 0.3809 0.6451 0.3721  2 B 2.06-2.08
Se: 0.3878 0.5591 0.8659  1 B 2.05
Se: 0.8878 0.4409 0.6341  1 B 2.05
Se: 0.6122 0.4409 0.1341  1 B 2.05
Se: 0.1122 0.5591 0.3659  1 B 2.05
Se: 0.2267 0.4567 0.0605  1 B 2.05
Se: 0.7267 0.5433 0.4395  1 B 2.05
Se: 0.7733 0.5433 0.9395  1 B 2.05
Se: 0.2733 0.4567 0.5605  1 B 2.05
Se: 0.1521 0.4192 0.8186  1 B 2.05
Se: 0.6521 0.5808 0.6814  1 B 2.05
Se: 0.8479 0.5808 0.1814  1 B 2.05
Se: 0.3479 0.4192 0.3186  1 B 2.05
Se: 0.2913 0.2816 0.8258  1 B 2.06
Se: 0.7913 0.7184 0.6742  1 B 2.06
Se: 0.7087 0.7184 0.1742  1 B 2.06
Se: 0.2087 0.2816 0.3258  1 B 2.06
Se: 0.3574 0.3110 0.0693  1 B 2.07
Se: 0.8574 0.6890 0.4307  1 B 2.07
Se: 0.6426 0.6890 0.9307  1 B 2.07
Se: 0.1426 0.3110 0.5693  1 B 2.07
Se: 0.3853 0.0882 0.0167  2 B 2.06-2.07
Se: 0.8853 0.9118 0.4833  2 B 2.06-2.07
Se: 0.6147 0.9118 0.9833  2 B 2.06-2.07
Se: 0.1147 0.0882 0.5167  2 B 2.06-2.07
Se: 0.1151 0.1853 0.0205  1 B 2.04
Se: 0.6151 0.8147 0.4795  1 B 2.04
Se: 0.8849 0.8147 0.9795  1 B 2.04
Se: 0.3849 0.1853 0.5205  1 B 2.04

Summary:
E (MP2020) = -4.876 eV per atom
V = 26.18 A^3/atom
ΔH_f (0 K) = -0.88 eV/atom
DFT total energy = -346.068 eV per cell

=====

(2)
Computed, not measured: a relaxed structure of Li2CuSiO4 at the PBE level of DFT.

Cell: 5.0482 6.1539 10.8454 Å, 90.00 90.00 90.00°
Last column: nearest neighbours and their distance in Å.
Fractional positions:
Li: 0.7601 0.4978 0.1729  4 O 1.96-2.02
Li: 0.7595 0.7543 0.9142  4 O 1.95-2.03
Li: 0.7595 0.7457 0.4142  4 O 1.95-2.03
Li: 0.7601 0.0022 0.6729  4 O 1.96-2.02
Li: 0.2601 0.9978 0.3271  4 O 1.96-2.02
Li: 0.2595 0.2543 0.5858  4 O 1.95-2.03
Li: 0.2595 0.2457 0.0858  4 O 1.95-2.03
Li: 0.2601 0.5022 0.8271  4 O 1.96-2.02
Cu: 0.2522 0.7566 0.5827  4 O 1.95-2.06
Cu: 0.2522 0.7434 0.0827  4 O 1.95-2.06
Cu: 0.7522 0.2566 0.9173  4 O 1.95-2.06
Cu: 0.7522 0.2434 0.4173  4 O 1.95-2.06
Si: 0.2640 0.4946 0.3371  4 O 1.65-1.66
Si: 0.2640 0.0054 0.8371  4 O 1.65-1.66
Si: 0.7640 0.9946 0.1629  4 O 1.65-1.66
Si: 0.7640 0.5054 0.6629  4 O 1.65-1.66
O: 0.0905 0.5037 0.6649  1 Si 1.65
O: 0.1580 0.5037 0.1929  1 Si 1.65
O: 0.1602 0.7848 0.9097  1 Si 1.65
O: 0.6588 0.7283 0.5928  1 Si 1.66
O: 0.6588 0.7717 0.0928  1 Si 1.66
O: 0.1602 0.7152 0.4097  1 Si 1.65
O: 0.1580 0.9963 0.6929  1 Si 1.65
O: 0.0905 0.9963 0.1649  1 Si 1.65
O: 0.5905 0.0037 0.8351  1 Si 1.65
O: 0.6580 0.0037 0.3071  1 Si 1.65
O: 0.6602 0.2848 0.5903  1 Si 1.65
O: 0.1588 0.2283 0.9072  1 Si 1.66
O: 0.1588 0.2717 0.4072  1 Si 1.66
O: 0.6602 0.2152 0.0903  1 Si 1.65
O: 0.6580 0.4963 0.8071  1 Si 1.65
O: 0.5905 0.4963 0.3351  1 Si 1.65

Summary:
E (MP2020) = -6.472 eV per atom
V = 10.53 A^3/atom
ΔH_f (0 K) = -2.33 eV/atom
DFT total energy = -196.103 eV per cell
excess energy over the best structure of this formula in the dataset = 0.014 eV/atom

=====

(3)
Computed, not measured: a relaxed structure of Sc4Si2Pt7 at the PBE level of DFT.

Cell: 4.0288 6.5369 16.3405 Å, 90.00 90.00 90.00°
Last column: nearest neighbours and their distance in Å.
Fractional positions:
Sc: 0.0000 0.2851 0.4610  10 Pt 2.78-2.95, 1 Sc 3.08
Sc: 0.0000 0.7149 0.5390  10 Pt 2.78-2.95, 1 Sc 3.08
Sc: 0.0000 0.7851 0.0390  10 Pt 2.78-2.95, 1 Sc 3.08
Sc: 0.0000 0.2149 0.9610  10 Pt 2.78-2.95, 1 Sc 3.08
Sc: 0.0000 0.5260 0.2908  4 Si 2.85-2.89, 8 Pt 2.91-3.10
Sc: 0.0000 0.4740 0.7092  4 Si 2.85-2.89, 8 Pt 2.91-3.10
Sc: 0.0000 0.0260 0.2092  4 Si 2.85-2.89, 8 Pt 2.91-3.10
Sc: 0.0000 0.9740 0.7908  4 Si 2.85-2.89, 8 Pt 2.91-3.10
Si: 0.5000 0.8395 0.3069  5 Pt 2.40-2.48
Si: 0.5000 0.1605 0.6931  5 Pt 2.40-2.48
Si: 0.5000 0.3395 0.1931  5 Pt 2.40-2.48
Si: 0.5000 0.6605 0.8069  5 Pt 2.40-2.48
Pt: 0.0000 0.9075 0.3821  2 Si 2.40
Pt: 0.0000 0.0925 0.6179  2 Si 2.40
Pt: 0.0000 0.4075 0.1179  2 Si 2.40
Pt: 0.0000 0.5925 0.8821  2 Si 2.40
Pt: 0.5000 0.5958 0.4210  1 Si 2.45
Pt: 0.5000 0.4042 0.5790  1 Si 2.45
Pt: 0.5000 0.0958 0.0790  1 Si 2.45
Pt: 0.5000 0.9042 0.9210  1 Si 2.45
Pt: 0.5000 0.5000 0.0000  4 Sc 2.82, 8 Pt 2.85-3.08
Pt: 0.5000 0.0000 0.5000  4 Sc 2.82, 8 Pt 2.85-3.08
Pt: 0.5000 0.2143 0.3323  2 Si 2.42-2.48
Pt: 0.5000 0.7857 0.6677  2 Si 2.42-2.48
Pt: 0.5000 0.7143 0.1677  2 Si 2.42-2.48
Pt: 0.5000 0.2857 0.8323  2 Si 2.42-2.48

Summary:
V = 16.55 A^3/atom
ΔH_f (0 K) = -1.18 eV/atom
DFT total energy = -188.029 eV per cell

=====

(4)
Computed, not measured: a relaxed structure of PrAs2Au at the PBE level of DFT.

Cell: 4.1413 4.1413 20.9332 Å, 90.00 90.00 90.05°
Last column: nearest neighbours and their distance in Å.
Fractional positions:
Pr: 0.7643 0.7643 0.6181  8 As 3.05-3.27
Pr: 0.2357 0.2357 0.3819  8 As 3.05-3.27
Pr: 0.2643 0.2643 0.8819  8 As 3.05-3.27
Pr: 0.7357 0.7357 0.1181  8 As 3.05-3.27
As: 0.2201 0.7799 0.0000  1 As 2.58
As: 0.2799 0.7201 0.5000  1 As 2.58
As: 0.7799 0.2201 0.0000  1 As 2.58
As: 0.7201 0.2799 0.5000  1 As 2.58
As: 0.2642 0.2642 0.6597  4 Au 2.79-2.82, 4 Pr 3.05-3.06
As: 0.7358 0.7358 0.3403  4 Au 2.79-2.82, 4 Pr 3.05-3.06
As: 0.7642 0.7642 0.8403  4 Au 2.79-2.82, 4 Pr 3.05-3.06
As: 0.2358 0.2358 0.1597  4 Au 2.79-2.82, 4 Pr 3.05-3.06
Au: 0.2306 0.7306 0.2500  4 As 2.79-2.82, 4 Au 2.93
Au: 0.2694 0.7694 0.7500  4 As 2.79-2.82, 4 Au 2.93
Au: 0.7694 0.2694 0.7500  4 As 2.79-2.82, 4 Au 2.93
Au: 0.7306 0.2306 0.2500  4 As 2.79-2.82, 4 Au 2.93

Summary:
V = 22.44 A^3/atom
ΔH_f (0 K) = -0.76 eV/atom
DFT total energy = -81.666 eV per cell

=====

(5)
Computed, not measured: a relaxed structure of Sr2LiSiO4 at the PBE level of DFT.

Cell: 5.9822 5.9822 13.5973 Å, 90.00 90.00 120.00°
Last column: nearest neighbours and their distance in Å.
Fractional positions:
Sr: 0.1822 0.5226 0.9323  4 O 2.45-2.60
Sr: 0.4774 0.6596 0.2656  4 O 2.45-2.60
Sr: 0.5226 0.1822 0.0677  4 O 2.45-2.60
Sr: 0.3404 0.8178 0.5989  4 O 2.45-2.60
Sr: 0.6596 0.4774 0.7344  4 O 2.45-2.60
Sr: 0.8178 0.3404 0.4011  4 O 2.45-2.60
Li: 0.7400 0.0000 0.8333  2 O 1.99
Li: 0.0000 0.7400 0.1667  2 O 1.99
Li: 0.2600 0.2600 0.5000  2 O 1.99
Si: 0.1995 0.0000 0.3333  4 O 1.65-1.67
Si: 0.0000 0.1995 0.6667  4 O 1.65-1.67
Si: 0.8005 0.8005 0.0000  4 O 1.65-1.67
O: 0.2611 0.1813 0.6422  1 Si 1.65
O: 0.8187 0.0797 0.9755  1 Si 1.65
O: 0.1813 0.2611 0.3578  1 Si 1.65
O: 0.9203 0.7389 0.3089  1 Si 1.65
O: 0.0797 0.8187 0.0245  1 Si 1.65
O: 0.7389 0.9203 0.6911  1 Si 1.65
O: 0.9654 0.3501 0.5698  1 Si 1.67
O: 0.6499 0.6153 0.9031  1 Si 1.67
O: 0.3501 0.9654 0.4302  1 Si 1.67
O: 0.3847 0.0346 0.2365  1 Si 1.67
O: 0.6153 0.6499 0.0969  1 Si 1.67
O: 0.0346 0.3847 0.7635  1 Si 1.67

Summary:
E (MP2020) = -6.694 eV per atom
V = 17.56 A^3/atom
ΔH_f (0 K) = -2.88 eV/atom
DFT total energy = -152.401 eV per cell

=====

(6)
Computed, not measured: a relaxed structure of Tb2Sb5 at the PBE level of DFT.

Cell: 4.2298 13.2583 14.7862 Å, 77.88 90.00 90.00°
Last column: nearest neighbours and their distance in Å.
Fractional positions:
Tb: 0.7500 0.3386 0.1447  9 Sb 3.14-3.34
Tb: 0.2500 0.9519 0.3609  9 Sb 3.19-3.43
Tb: 0.2500 0.6614 0.8553  9 Sb 3.14-3.34
Tb: 0.2500 0.6705 0.5774  9 Sb 3.20-3.36
Tb: 0.7500 0.0481 0.6391  9 Sb 3.19-3.43
Tb: 0.7500 0.3295 0.4226  9 Sb 3.20-3.36
Tb: 0.2500 0.3921 0.7707  9 Sb 3.12-3.36
Tb: 0.7500 0.6079 0.2293  9 Sb 3.12-3.36
Sb: 0.7500 0.8465 0.8269  3 Sb 2.89-3.03, 2 Tb 3.20
Sb: 0.2500 0.8620 0.6777  4 Sb 3.03-3.16, 4 Tb 3.20-3.32
Sb: 0.2500 0.1411 0.4809  2 Sb 3.16, 5 Tb 3.20-3.36
Sb: 0.7500 0.2782 0.9382  2 Sb 2.95
Sb: 0.2500 0.1404 0.7801  4 Sb 2.99-3.20, 1 Tb 3.31
Sb: 0.7500 0.5753 0.4487  4 Sb 2.99-3.08, 3 Tb 3.18-3.27
Sb: 0.7500 0.1380 0.3223  4 Sb 3.03-3.16, 4 Tb 3.20-3.32
Sb: 0.2500 0.7148 0.3483  4 Sb 2.99-3.20, 4 Tb 3.19-3.31
Sb: 0.7500 0.2852 0.6517  4 Sb 2.99-3.20, 4 Tb 3.19-3.31
Sb: 0.7500 0.8596 0.2199  4 Sb 2.99-3.20, 1 Tb 3.31
Sb: 0.2500 0.4185 0.9758  4 Sb 2.95-3.21, 3 Tb 3.12-3.27
Sb: 0.2500 0.4247 0.5513  4 Sb 2.99-3.08, 3 Tb 3.18-3.27
Sb: 0.7500 0.5751 0.7341  6 Tb 3.14-3.20
Sb: 0.2500 0.4249 0.2659  6 Tb 3.14-3.20
Sb: 0.7500 0.8589 0.5191  2 Sb 3.16, 5 Tb 3.20-3.36
Sb: 0.7500 0.0283 0.9054  3 Sb 2.89-2.99
Sb: 0.2500 0.7218 0.0618  2 Sb 2.95
Sb: 0.2500 0.9717 0.0946  3 Sb 2.89-2.99
Sb: 0.2500 0.1535 0.1731  3 Sb 2.89-3.03, 2 Tb 3.20
Sb: 0.7500 0.5815 0.0242  4 Sb 2.95-3.21, 3 Tb 3.12-3.27

Summary:
E (MP2020) = -5.061 eV per atom
V = 28.95 A^3/atom
ΔH_f (0 K) = -0.79 eV/atom
DFT total energy = -137.879 eV per cell

=====

(7)
Computed, not measured: a relaxed structure of Tm2TlAg at the PBE level of DFT.

Cell: 5.2044 5.2044 5.2044 Å, 60.00 60.00 60.00°
Last column: nearest neighbours and their distance in Å.
Fractional positions:
Tm: 0.2500 0.2500 0.2500  4 Ag 3.19, 4 Tl 3.19
Tm: 0.7500 0.7500 0.7500  4 Ag 3.19, 4 Tl 3.19
Tl: 0.0000 0.0000 0.0000  8 Tm 3.19
Ag: 0.5000 0.5000 0.5000  8 Tm 3.19

Summary:
V = 24.92 A^3/atom
ΔH_f (0 K) = -0.34 eV/atom
DFT total energy = -15.491 eV per cell

=====

What is the formula in the seventh record?
Tm2TlAg

=====

What is the formula in the fourth record?
PrAs2Au

=====

Number 5 is which compound?
Sr2LiSiO4

=====

Which of these has the lowest V?
Li2CuSiO4